No. 1
# Al2Zn39Pd9

Crystalline Al2Zn39Pd9 at its relaxed geometry (PBE, the Materials Project).

- Final energy: -2.367 eV/atom
- Size of the total moment: 0.00 Bohr magnetons per cell

a b c (Å): 12.872 12.872 12.872
angles (deg): 60.00 60.00 60.00
Sites, in units of the cell vectors:
Al  0.445  0.445  0.445
Al  0.445  0.445  0.666
Al  0.445  0.666  0.445
Al  0.666  0.445  0.445
Zn  0.020  0.020  0.292
Zn  0.020  0.020  0.669
Zn  0.020  0.292  0.020
Zn  0.020  0.292  0.669
Zn  0.020  0.669  0.020
Zn  0.020  0.669  0.292
Zn  0.053  0.418  0.764
Zn  0.053  0.764  0.418
Zn  0.053  0.764  0.764
Zn  0.054  0.054  0.054
Zn  0.054  0.054  0.838
Zn  0.054  0.838  0.054
Zn  0.071  0.071  0.429
Zn  0.071  0.429  0.071
Zn  0.071  0.429  0.429
Zn  0.090  0.303  0.303
Zn  0.178  0.178  0.822
Zn  0.178  0.822  0.178
Zn  0.178  0.822  0.822
Zn  0.188  0.524  0.524
Zn  0.188  0.524  0.764
Zn  0.188  0.764  0.524
Zn  0.278  0.278  0.531
Zn  0.278  0.278  0.913
Zn  0.278  0.531  0.278
Zn  0.278  0.531  0.913
Zn  0.278  0.913  0.278
Zn  0.278  0.913  0.531
Zn  0.292  0.020  0.020
Zn  0.292  0.020  0.669
Zn  0.292  0.669  0.020
Zn  0.303  0.090  0.303
Zn  0.303  0.303  0.090
Zn  0.303  0.303  0.303
Zn  0.418  0.053  0.764
Zn  0.418  0.764  0.053
Zn  0.418  0.764  0.764
Zn  0.429  0.071  0.071
Zn  0.429  0.071  0.429
Zn  0.429  0.429  0.071
Zn  0.524  0.188  0.524
Zn  0.524  0.188  0.764
Zn  0.524  0.524  0.188
Zn  0.524  0.524  0.764
Zn  0.524  0.764  0.188
Zn  0.524  0.764  0.524
Zn  0.531  0.278  0.278
Zn  0.531  0.278  0.913
Zn  0.531  0.913  0.278
Zn  0.569  0.569  0.931
Zn  0.569  0.931  0.569
Zn  0.569  0.931  0.931
Zn  0.575  0.808  0.808
Zn  0.669  0.020  0.020
Zn  0.669  0.020  0.292
Zn  0.669  0.292  0.020
Zn  0.764  0.053  0.418
Zn  0.764  0.053  0.764
Zn  0.764  0.188  0.524
Zn  0.764  0.418  0.053
Zn  0.764  0.418  0.764
Zn  0.764  0.524  0.188
Zn  0.764  0.524  0.524
Zn  0.764  0.764  0.053
Zn  0.764  0.764  0.418
Zn  0.808  0.575  0.808
Zn  0.808  0.808  0.575
Zn  0.808  0.808  0.808
Zn  0.822  0.178  0.178
Zn  0.822  0.178  0.822
Zn  0.822  0.822  0.178
Zn  0.838  0.054  0.054
Zn  0.913  0.278  0.278
Zn  0.913  0.278  0.531
Zn  0.913  0.531  0.278
Zn  0.931  0.569  0.569
Zn  0.931  0.569  0.931
Zn  0.931  0.931  0.569
Pd  0.001  0.666  0.666
Pd  0.163  0.163  0.163
Pd  0.163  0.163  0.512
Pd  0.163  0.512  0.163
Pd  0.266  0.911  0.911
Pd  0.324  0.324  0.676
Pd  0.324  0.676  0.324
Pd  0.324  0.676  0.676
Pd  0.512  0.163  0.163
Pd  0.666  0.001  0.666
Pd  0.666  0.666  0.001
Pd  0.666  0.666  0.666
Pd  0.676  0.324  0.324
Pd  0.676  0.324  0.676
Pd  0.676  0.676  0.324
Pd  0.911  0.266  0.911
Pd  0.911  0.911  0.266
Pd  0.911  0.911  0.911



No. 2
# Ti2AlFe

Crystalline Ti2AlFe at its relaxed geometry (PBE, the Materials Project).

- Final energy: -7.234 eV/atom
- Size of the total moment: 1.00 Bohr magnetons per cell

a b c (Å): 4.331 4.331 4.331
angles (deg): 60.00 60.00 60.00
Sites, in units of the cell vectors:
Ti  0.000  0.000  0.000
Ti  0.250  0.250  0.250
Al  0.500  0.500  0.500
Fe  0.750  0.750  0.750



No. 3
# SmCrGe3

Crystalline SmCrGe3 at its relaxed geometry (PBE, the Materials Project).

- Final energy: -6.032 eV/atom
- Size of the total moment: 2.77 Bohr magnetons per cell

a b c (Å): 6.133 6.133 5.714
angles (deg): 90.00 90.00 120.00
Sites, in units of the cell vectors:
Sm  0.333  0.667  0.250
Sm  0.667  0.333  0.750
Cr  0.000  0.000  0.000
Cr  0.000  0.000  0.500
Ge  0.192  0.385  0.750
Ge  0.192  0.808  0.750
Ge  0.385  0.192  0.250
Ge  0.615  0.808  0.750
Ge  0.808  0.192  0.250
Ge  0.808  0.615  0.250



No. 4
# Sc4Ti3O12

Crystalline Sc4Ti3O12 at its relaxed geometry (PBE, the Materials Project).

- Relative energy among the computed polymorphs: 0.00 kcal/mol of atoms
- Final energy: -8.995 eV/atom
- Size of the total moment: 0.00 Bohr magnetons per cell

a b c (Å): 5.923 6.089 12.159
angles (deg): 99.42 99.73 98.61
Sites, in units of the cell vectors:
Sc  0.115  0.137  0.407
Sc  0.195  0.386  0.682
Sc  0.201  0.384  0.184
Sc  0.365  0.691  0.948
Sc  0.635  0.309  0.052
Sc  0.799  0.616  0.816
Sc  0.805  0.614  0.318
Sc  0.885  0.863  0.593
Ti  0.104  0.153  0.912
Ti  0.346  0.661  0.444
Ti  0.489  0.985  0.740
Ti  0.511  0.015  0.260
Ti  0.654  0.339  0.556
Ti  0.896  0.847  0.088
O  0.069  0.826  0.963
O  0.078  0.408  0.840
O  0.084  0.421  0.341
O  0.097  0.817  0.460
O  0.177  0.029  0.202
O  0.189  0.047  0.696
O  0.315  0.424  0.039
O  0.321  0.425  0.536
O  0.413  0.089  0.905
O  0.415  0.693  0.295
O  0.425  0.687  0.778
O  0.472  0.126  0.410
O  0.528  0.874  0.590
O  0.575  0.313  0.222
O  0.585  0.307  0.705
O  0.587  0.911  0.095
O  0.679  0.575  0.464
O  0.685  0.576  0.961
O  0.811  0.953  0.304
O  0.823  0.971  0.798
O  0.903  0.183  0.540
O  0.916  0.579  0.659
O  0.922  0.592  0.160
O  0.931  0.174  0.037



No. 5
# TbSmCo4Ni6

Crystalline TbSmCo4Ni6 at its relaxed geometry (PBE, the Materials Project).

- Final energy: -6.169 eV/atom
- Size of the total moment: 3.47 Bohr magnetons per cell

a b c (Å): 3.986 4.924 8.520
angles (deg): 90.00 90.00 90.00
Sites, in units of the cell vectors:
Tb  0.000  0.000  0.000
Sm  0.000  0.500  0.500
Co  0.000  0.000  0.333
Co  0.000  0.000  0.667
Co  0.000  0.500  0.166
Co  0.000  0.500  0.834
Ni  0.500  0.000  0.500
Ni  0.500  0.250  0.250
Ni  0.500  0.250  0.750
Ni  0.500  0.500  0.000
Ni  0.500  0.750  0.250
Ni  0.500  0.750  0.750



No. 6
# LaP5

Crystalline LaP5 at its relaxed geometry (PBE, the Materials Project).

- Final energy: -5.900 eV/atom
- Size of the total moment: 0.00 Bohr magnetons per cell

a b c (Å): 5.643 9.734 9.673
angles (deg): 90.00 106.72 90.00
Sites, in units of the cell vectors:
La  0.093  0.250  0.452
La  0.128  0.250  0.978
La  0.872  0.750  0.022
La  0.907  0.750  0.548
P  0.091  0.545  0.842
P  0.091  0.955  0.842
P  0.135  0.549  0.364
P  0.135  0.951  0.364
P  0.424  0.750  0.136
P  0.455  0.586  0.811
P  0.455  0.750  0.650
P  0.455  0.914  0.811
P  0.480  0.595  0.312
P  0.480  0.905  0.312
P  0.520  0.095  0.688
P  0.520  0.405  0.688
P  0.545  0.086  0.189
P  0.545  0.250  0.350
P  0.545  0.414  0.189
P  0.576  0.250  0.864
P  0.865  0.049  0.636
P  0.865  0.451  0.636
P  0.909  0.045  0.158
P  0.909  0.455  0.158



No. 7
# PrBiAu2

Crystalline PrBiAu2 at its relaxed geometry (PBE, the Materials Project).

- Final energy: -4.418 eV/atom
- Size of the total moment: 0.00 Bohr magnetons per cell

a b c (Å): 5.199 5.199 5.199
angles (deg): 60.00 60.00 60.00
Sites, in units of the cell vectors:
Pr  0.000  0.000  0.000
Bi  0.500  0.500  0.500
Au  0.250  0.250  0.250
Au  0.750  0.750  0.750



No. 8
# Li2Sb

Crystalline Li2Sb at its relaxed geometry (PBE, the Materials Project).

- Relative energy among the computed polymorphs: 0.00 kcal/mol of atoms
- Final energy: -3.222 eV/atom

a b c (Å): 7.946 7.946 6.534
angles (deg): 90.00 90.00 120.00
Sites, in units of the cell vectors:
Li  0.292  0.000  0.000
Li  0.708  0.708  0.500
Li  0.000  0.292  0.500
Li  0.000  0.292  0.000
Li  0.708  0.708  0.000
Li  0.292  0.000  0.500
Li  0.630  0.000  0.250
Li  0.370  0.370  0.250
Li  0.000  0.630  0.250
Li  0.630  0.000  0.750
Li  0.370  0.370  0.750
Li  0.000  0.630  0.750
Sb  0.000  0.000  0.250
Sb  0.000  0.000  0.750
Sb  0.333  0.667  0.000
Sb  0.333  0.667  0.500
Sb  0.667  0.333  0.000
Sb  0.667  0.333  0.500



No. 9
# CuAsPb2SO9

Crystalline CuAsPb2SO9 at its relaxed geometry (PBE, the Materials Project).

- Final energy: -5.824 eV/atom
- Size of the total moment: 0.00 Bohr magnetons per cell

a b c (Å): 8.474 5.876 8.660
angles (deg): 90.00 111.21 90.00
Sites, in units of the cell vectors:
Cu  0.000  0.000  0.000
Cu  0.000  0.500  0.000
As  0.026  0.250  0.338
As  0.974  0.750  0.662
Pb  0.268  0.750  0.366
Pb  0.306  0.250  0.766
Pb  0.694  0.750  0.234
Pb  0.732  0.250  0.634
S  0.453  0.250  0.178
S  0.547  0.750  0.822
O  0.003  0.501  0.783
O  0.003  0.999  0.783
O  0.115  0.750  0.566
O  0.137  0.750  0.059
O  0.236  0.250  0.464
O  0.269  0.250  0.078
O  0.446  0.750  0.930
O  0.497  0.041  0.289
O  0.497  0.459  0.289
O  0.503  0.541  0.711
O  0.503  0.959  0.711
O  0.554  0.250  0.070
O  0.731  0.750  0.922
O  0.764  0.750  0.536
O  0.863  0.250  0.941
O  0.885  0.250  0.434
O  0.997  0.001  0.217
O  0.997  0.499  0.217



no.,energy of formation (eV per atom)
1,-0.30
2,-0.23
3,-0.38
4,-3.72
5,-0.13
6,-0.57
7,-0.61
8,-0.64
9,-1.63